No. 1
# ReH12C4O5F, relaxed, DFT PBE
data_ReH12C4O5F
_space_group_name_H-M_alt 'P 1'
_space_group_IT_number 1
_space_group_name_Hall 'P 1'
_cell_length_a 6.378
_cell_length_b 6.888
_cell_length_c 12.782
_cell_angle_alpha 78.32
_cell_angle_beta 81.81
_cell_angle_gamma 63.52
loop_
_atom_site_label
_atom_site_type_symbol
_atom_site_fract_x
_atom_site_fract_y
_atom_site_fract_z
_atom_site_occupancy
C1 C 0.571 0.711 0.090 1
C2 C 0.418 0.321 0.627 1
C3 C 0.582 0.679 0.373 1
C4 C 0.162 0.850 0.381 1
C5 C 0.429 0.289 0.910 1
C6 C 0.819 0.325 0.102 1
C7 C 0.838 0.150 0.619 1
C8 C 0.181 0.675 0.898 1
H1 H 0.706 0.738 0.122 1
H2 H 0.844 0.343 0.014 1
H3 H 0.181 0.835 0.866 1
H4 H 0.576 0.843 0.346 1
H5 H 0.409 0.267 0.998 1
H6 H 0.156 0.657 0.986 1
H7 H 0.819 0.165 0.134 1
H8 H 0.988 0.163 0.643 1
H9 H 0.840 0.172 0.531 1
H10 H 0.012 0.837 0.357 1
H11 H 0.843 0.989 0.654 1
H12 H 0.591 0.733 0.002 1
H13 H 0.424 0.157 0.654 1
H14 H 0.408 0.363 0.540 1
H15 H 0.267 0.444 0.666 1
H16 H 0.592 0.637 0.460 1
H17 H 0.039 0.661 0.865 1
H18 H 0.157 0.011 0.346 1
H19 H 0.961 0.339 0.135 1
H20 H 0.733 0.556 0.334 1
H21 H 0.160 0.828 0.469 1
H22 H 0.396 0.825 0.117 1
H23 H 0.294 0.262 0.878 1
H24 H 0.604 0.175 0.883 1
O1 O 0.134 0.643 0.195 1
O2 O 0.177 0.362 0.383 1
O3 O 0.621 0.800 0.801 1
O4 O 0.823 0.638 0.617 1
O5 O 0.373 0.679 0.342 1
O6 O 0.407 0.508 0.869 1
O7 O 0.593 0.492 0.131 1
O8 O 0.627 0.321 0.658 1
O9 O 0.866 0.357 0.805 1
O10 O 0.379 0.200 0.199 1
Re1 Re 0.661 0.592 0.733 1
Re2 Re 0.339 0.408 0.267 1
F1 F 0.354 0.736 0.673 1
F2 F 0.646 0.264 0.327 1
# - Raw total energy: -5.694 eV per atom
# - Crystal system: triclinic
# - Calculated volume: 10.68 A^3/atom

---

No. 2
# ZrH8C2SO2F4, relaxed, DFT PBE
data_ZrH8C2SO2F4
_space_group_name_H-M_alt 'P 1'
_space_group_IT_number 1
_space_group_name_Hall 'P 1'
_cell_length_a 7.936
_cell_length_b 7.936
_cell_length_c 15.744
_cell_angle_alpha 90.00
_cell_angle_beta 90.00
_cell_angle_gamma 119.01
loop_
_atom_site_label
_atom_site_type_symbol
_atom_site_fract_x
_atom_site_fract_y
_atom_site_fract_z
_atom_site_occupancy
O1 O 0.931 0.067 0.248 1
O2 O 0.790 0.155 0.424 1
O3 O 0.431 0.567 0.252 1
O4 O 0.290 0.655 0.076 1
O5 O 0.067 0.931 0.752 1
O6 O 0.155 0.790 0.576 1
O7 O 0.567 0.431 0.748 1
O8 O 0.655 0.290 0.924 1
H1 H 0.706 0.509 0.323 1
H2 H 0.009 0.206 0.823 1
H3 H 0.270 0.512 0.504 1
H4 H 0.837 0.959 0.212 1
H5 H 0.039 0.162 0.213 1
H6 H 0.708 0.308 0.566 1
H7 H 0.662 0.539 0.713 1
H8 H 0.512 0.701 0.479 1
H9 H 0.201 0.012 0.979 1
H10 H 0.512 0.270 0.496 1
H11 H 0.208 0.808 0.934 1
H12 H 0.162 0.039 0.787 1
H13 H 0.715 0.305 0.280 1
H14 H 0.215 0.805 0.220 1
H15 H 0.308 0.708 0.434 1
H16 H 0.808 0.208 0.066 1
H17 H 0.518 0.268 0.349 1
H18 H 0.539 0.662 0.287 1
H19 H 0.701 0.512 0.521 1
H20 H 0.768 0.018 0.849 1
H21 H 0.268 0.518 0.651 1
H22 H 0.805 0.215 0.780 1
H23 H 0.305 0.715 0.720 1
H24 H 0.206 0.009 0.177 1
H25 H 0.337 0.459 0.288 1
H26 H 0.012 0.770 0.004 1
H27 H 0.012 0.201 0.021 1
H28 H 0.459 0.337 0.712 1
H29 H 0.509 0.706 0.677 1
H30 H 0.959 0.837 0.788 1
H31 H 0.770 0.012 0.996 1
H32 H 0.018 0.768 0.151 1
S1 S 0.814 0.361 0.424 1
S2 S 0.361 0.814 0.576 1
S3 S 0.314 0.861 0.076 1
S4 S 0.861 0.314 0.924 1
C1 C 0.666 0.361 0.510 1
C2 C 0.359 0.671 0.665 1
C3 C 0.166 0.861 0.990 1
C4 C 0.671 0.359 0.335 1
C5 C 0.171 0.859 0.165 1
C6 C 0.361 0.666 0.490 1
C7 C 0.861 0.166 0.010 1
C8 C 0.859 0.171 0.835 1
F1 F 0.615 0.390 0.139 1
F2 F 0.296 0.212 0.848 1
F3 F 0.849 0.849 0.500 1
F4 F 0.687 0.791 0.149 1
F5 F 0.890 0.115 0.639 1
F6 F 0.145 0.145 0.500 1
F7 F 0.212 0.296 0.152 1
F8 F 0.187 0.291 0.351 1
F9 F 0.791 0.687 0.851 1
F10 F 0.390 0.615 0.861 1
F11 F 0.645 0.645 0.000 1
F12 F 0.349 0.349 0.000 1
F13 F 0.712 0.796 0.348 1
F14 F 0.291 0.187 0.649 1
F15 F 0.796 0.712 0.652 1
F16 F 0.115 0.890 0.361 1
Zr1 Zr 0.526 0.468 0.886 1
Zr2 Zr 0.026 0.968 0.614 1
Zr3 Zr 0.468 0.526 0.114 1
Zr4 Zr 0.968 0.026 0.386 1
# - Raw total energy: -5.569 eV per atom
# - Crystal system: orthorhombic
# - Calculated volume: 12.04 A^3/atom

---

No. 3
# UH2CO3F3, relaxed, DFT PBE
data_UH2CO3F3
_space_group_name_H-M_alt 'P 1'
_space_group_IT_number 1
_space_group_name_Hall 'P 1'
_cell_length_a 6.266
_cell_length_b 8.633
_cell_length_c 9.284
_cell_angle_alpha 96.61
_cell_angle_beta 109.72
_cell_angle_gamma 90.00
loop_
_atom_site_label
_atom_site_type_symbol
_atom_site_fract_x
_atom_site_fract_y
_atom_site_fract_z
_atom_site_occupancy
F1 F 0.430 0.210 0.471 1
F2 F 0.886 0.609 0.685 1
F3 F 0.800 0.109 0.685 1
F4 F 0.198 0.024 0.599 1
F5 F 0.400 0.524 0.599 1
F6 F 0.570 0.790 0.529 1
F7 F 0.041 0.710 0.471 1
F8 F 0.600 0.476 0.401 1
F9 F 0.959 0.290 0.529 1
F10 F 0.802 0.976 0.401 1
F11 F 0.114 0.391 0.315 1
F12 F 0.200 0.891 0.315 1
O1 O 0.484 0.253 0.784 1
O2 O 0.299 0.753 0.784 1
O3 O 0.288 0.485 0.104 1
O4 O 0.516 0.747 0.216 1
O5 O 0.712 0.515 0.896 1
O6 O 0.921 0.625 0.136 1
O7 O 0.701 0.247 0.216 1
O8 O 0.785 0.875 0.864 1
O9 O 0.185 0.015 0.896 1
O10 O 0.215 0.125 0.136 1
O11 O 0.815 0.985 0.104 1
O12 O 0.079 0.375 0.864 1
U1 U 0.288 0.628 0.347 1
U2 U 0.941 0.872 0.653 1
U3 U 0.059 0.128 0.347 1
U4 U 0.712 0.372 0.653 1
H1 H 0.662 0.340 0.275 1
H2 H 0.442 0.814 0.838 1
H3 H 0.604 0.686 0.162 1
H4 H 0.396 0.314 0.838 1
H5 H 0.558 0.186 0.162 1
H6 H 0.338 0.660 0.725 1
H7 H 0.387 0.160 0.725 1
H8 H 0.613 0.840 0.275 1
C1 C 0.106 0.460 0.991 1
C2 C 0.114 0.040 0.009 1
C3 C 0.894 0.540 0.009 1
C4 C 0.886 0.960 0.991 1
# - Raw total energy: -6.963 eV per atom
# - Crystal system: monoclinic
# - Calculated volume: 11.73 A^3/atom

---

No. 4
# Sb2H10C3F6, relaxed, DFT PBE
data_Sb2H10C3F6
_space_group_name_H-M_alt 'P 1'
_space_group_IT_number 1
_space_group_name_Hall 'P 1'
_cell_length_a 11.686
_cell_length_b 7.454
_cell_length_c 27.369
_cell_angle_alpha 75.77
_cell_angle_beta 90.00
_cell_angle_gamma 90.00
loop_
_atom_site_label
_atom_site_type_symbol
_atom_site_fract_x
_atom_site_fract_y
_atom_site_fract_z
_atom_site_occupancy
C1 C 0.393 0.657 0.374 1
C2 C 0.794 0.364 0.855 1
C3 C 0.107 0.657 0.874 1
C4 C 0.603 0.483 0.754 1
C5 C 0.665 0.177 0.066 1
C6 C 0.397 0.517 0.246 1
C7 C 0.587 0.906 0.599 1
C8 C 0.607 0.343 0.626 1
C9 C 0.165 0.823 0.434 1
C10 C 0.000 0.353 0.377 1
C11 C 0.413 0.094 0.401 1
C12 C 0.500 0.647 0.123 1
C13 C 0.897 0.483 0.254 1
C14 C 0.294 0.636 0.645 1
C15 C 0.706 0.364 0.355 1
C16 C 0.206 0.636 0.145 1
C17 C 0.500 0.353 0.877 1
C18 C 0.835 0.177 0.566 1
C19 C 0.103 0.517 0.746 1
C20 C 0.087 0.094 0.901 1
C21 C 0.913 0.906 0.099 1
C22 C 0.893 0.343 0.126 1
C23 C 0.335 0.823 0.934 1
C24 C 0.000 0.647 0.623 1
Sb1 Sb 0.762 0.781 0.463 1
Sb2 Sb 0.866 0.488 0.330 1
Sb3 Sb 0.845 0.178 0.076 1
Sb4 Sb 0.636 0.013 0.234 1
Sb5 Sb 0.366 0.512 0.170 1
Sb6 Sb 0.134 0.512 0.670 1
Sb7 Sb 0.155 0.822 0.924 1
Sb8 Sb 0.262 0.219 0.037 1
Sb9 Sb 0.136 0.987 0.266 1
Sb10 Sb 0.738 0.781 0.963 1
Sb11 Sb 0.655 0.178 0.576 1
Sb12 Sb 0.345 0.822 0.424 1
Sb13 Sb 0.864 0.013 0.734 1
Sb14 Sb 0.238 0.219 0.537 1
Sb15 Sb 0.634 0.488 0.830 1
Sb16 Sb 0.364 0.987 0.766 1
F1 F 0.692 0.992 0.480 1
F2 F 0.156 0.244 0.232 1
F3 F 0.692 0.620 0.521 1
F4 F 0.029 0.955 0.215 1
F5 F 0.108 0.195 0.497 1
F6 F 0.833 0.940 0.405 1
F7 F 0.014 0.053 0.305 1
F8 F 0.242 0.016 0.318 1
F9 F 0.808 0.620 0.021 1
F10 F 0.844 0.756 0.768 1
F11 F 0.656 0.756 0.268 1
F12 F 0.758 0.984 0.682 1
F13 F 0.514 0.947 0.195 1
F14 F 0.258 0.016 0.818 1
F15 F 0.986 0.947 0.695 1
F16 F 0.192 0.380 0.979 1
F17 F 0.971 0.045 0.785 1
F18 F 0.741 0.082 0.772 1
F19 F 0.884 0.270 0.699 1
F20 F 0.471 0.955 0.715 1
F21 F 0.241 0.918 0.728 1
F22 F 0.671 0.567 0.946 1
F23 F 0.259 0.918 0.228 1
F24 F 0.308 0.008 0.520 1
F25 F 0.371 0.244 0.576 1
F26 F 0.892 0.805 0.503 1
F27 F 0.344 0.244 0.732 1
F28 F 0.308 0.380 0.479 1
F29 F 0.329 0.433 0.054 1
F30 F 0.116 0.730 0.301 1
F31 F 0.616 0.270 0.199 1
F32 F 0.871 0.756 0.924 1
F33 F 0.742 0.984 0.182 1
F34 F 0.667 0.940 0.905 1
F35 F 0.529 0.045 0.285 1
F36 F 0.333 0.060 0.095 1
F37 F 0.486 0.053 0.805 1
F38 F 0.629 0.756 0.424 1
F39 F 0.759 0.082 0.272 1
F40 F 0.384 0.730 0.801 1
F41 F 0.129 0.244 0.076 1
F42 F 0.392 0.195 0.997 1
F43 F 0.808 0.992 0.980 1
F44 F 0.167 0.060 0.595 1
F45 F 0.192 0.008 0.020 1
F46 F 0.829 0.567 0.446 1
F47 F 0.608 0.805 0.003 1
F48 F 0.171 0.433 0.554 1
H1 H 0.553 0.454 0.605 1
H2 H 0.814 0.397 0.139 1
H3 H 0.425 0.657 0.245 1
H4 H 0.439 0.747 0.343 1
H5 H 0.302 0.635 0.605 1
H6 H 0.986 0.370 0.415 1
H7 H 0.208 0.777 0.150 1
H8 H 0.537 0.586 0.739 1
H9 H 0.939 0.253 0.157 1
H10 H 0.014 0.630 0.585 1
H11 H 0.910 0.271 0.021 1
H12 H 0.451 0.110 0.364 1
H13 H 0.075 0.657 0.745 1
H14 H 0.626 0.165 0.103 1
H15 H 0.657 0.808 0.600 1
H16 H 0.023 0.106 0.929 1
H17 H 0.514 0.370 0.915 1
H18 H 0.683 0.517 0.733 1
H19 H 0.140 0.695 0.461 1
H20 H 0.186 0.603 0.861 1
H21 H 0.947 0.454 0.105 1
H22 H 0.843 0.808 0.100 1
H23 H 0.410 0.729 0.479 1
H24 H 0.643 0.057 0.051 1
H25 H 0.500 0.793 0.124 1
H26 H 0.360 0.695 0.961 1
H27 H 0.143 0.943 0.449 1
H28 H 0.477 0.106 0.429 1
H29 H 0.447 0.546 0.395 1
H30 H 0.857 0.057 0.551 1
H31 H 0.561 0.253 0.657 1
H32 H 0.640 0.449 0.332 1
H33 H 0.865 0.709 0.335 1
H34 H 0.977 0.894 0.071 1
H35 H 0.374 0.835 0.897 1
H36 H 0.079 0.422 0.361 1
H37 H 0.360 0.551 0.668 1
H38 H 0.698 0.365 0.395 1
H39 H 0.921 0.578 0.639 1
H40 H 0.951 0.890 0.136 1
H41 H 0.053 0.546 0.895 1
H42 H 0.421 0.422 0.861 1
H43 H 0.579 0.578 0.139 1
H44 H 0.000 0.207 0.376 1
H45 H 0.925 0.343 0.255 1
H46 H 0.708 0.223 0.350 1
H47 H 0.523 0.894 0.571 1
H48 H 0.590 0.271 0.521 1
H49 H 0.357 0.943 0.949 1
H50 H 0.874 0.165 0.603 1
H51 H 0.314 0.603 0.361 1
H52 H 0.817 0.517 0.233 1
H53 H 0.486 0.630 0.085 1
H54 H 0.183 0.483 0.767 1
H55 H 0.292 0.777 0.650 1
H56 H 0.365 0.291 0.165 1
H57 H 0.860 0.449 0.832 1
H58 H 0.000 0.793 0.624 1
H59 H 0.317 0.483 0.267 1
H60 H 0.198 0.635 0.105 1
H61 H 0.061 0.747 0.843 1
H62 H 0.860 0.305 0.539 1
H63 H 0.090 0.729 0.979 1
H64 H 0.802 0.365 0.895 1
H65 H 0.049 0.110 0.864 1
H66 H 0.463 0.414 0.261 1
H67 H 0.635 0.709 0.835 1
H68 H 0.549 0.890 0.636 1
H69 H 0.126 0.835 0.397 1
H70 H 0.640 0.305 0.039 1
H71 H 0.037 0.414 0.761 1
H72 H 0.157 0.192 0.900 1
H73 H 0.500 0.207 0.876 1
H74 H 0.792 0.223 0.850 1
H75 H 0.135 0.291 0.665 1
H76 H 0.343 0.192 0.400 1
H77 H 0.140 0.551 0.168 1
H78 H 0.686 0.397 0.639 1
H79 H 0.963 0.586 0.239 1
H80 H 0.575 0.343 0.755 1
# - Raw total energy: -4.769 eV per atom
# - Crystal system: monoclinic
# - Calculated volume: 13.76 A^3/atom

---

No. 5
# SiH9C4F3, relaxed, DFT PBE
data_SiH9C4F3
_space_group_name_H-M_alt 'P 1'
_space_group_IT_number 1
_space_group_name_Hall 'P 1'
_cell_length_a 10.318
_cell_length_b 6.811
_cell_length_c 6.910
_cell_angle_alpha 76.79
_cell_angle_beta 90.00
_cell_angle_gamma 90.00
loop_
_atom_site_label
_atom_site_type_symbol
_atom_site_fract_x
_atom_site_fract_y
_atom_site_fract_z
_atom_site_occupancy
C1 C 0.250 0.199 0.939 1
C2 C 0.750 0.079 0.645 1
C3 C 0.901 0.672 0.731 1
C4 C 0.250 0.921 0.355 1
C5 C 0.599 0.672 0.731 1
C6 C 0.099 0.328 0.269 1
C7 C 0.750 0.801 0.061 1
C8 C 0.401 0.328 0.269 1
H1 H 0.012 0.252 0.232 1
H2 H 0.099 0.485 0.181 1
H3 H 0.512 0.748 0.768 1
H4 H 0.663 0.157 0.682 1
H5 H 0.093 0.333 0.427 1
H6 H 0.163 0.843 0.318 1
H7 H 0.593 0.667 0.573 1
H8 H 0.250 0.908 0.517 1
H9 H 0.407 0.333 0.427 1
H10 H 0.988 0.748 0.768 1
H11 H 0.907 0.667 0.573 1
H12 H 0.837 0.157 0.682 1
H13 H 0.750 0.092 0.483 1
H14 H 0.337 0.843 0.318 1
H15 H 0.488 0.252 0.232 1
H16 H 0.401 0.485 0.181 1
H17 H 0.901 0.515 0.819 1
H18 H 0.599 0.515 0.819 1
Si1 Si 0.750 0.807 0.777 1
Si2 Si 0.250 0.193 0.223 1
F1 F 0.643 0.895 0.121 1
F2 F 0.857 0.895 0.121 1
F3 F 0.750 0.607 0.179 1
F4 F 0.357 0.105 0.879 1
F5 F 0.250 0.393 0.821 1
F6 F 0.143 0.105 0.879 1
# - Raw total energy: -5.189 eV per atom
# - Crystal system: monoclinic
# - Calculated volume: 13.90 A^3/atom

---

No. 6
# SiH8C4F3, relaxed, DFT PBE
data_SiH8C4F3
_space_group_name_H-M_alt 'P 1'
_space_group_IT_number 1
_space_group_name_Hall 'P 1'
_cell_length_a 10.272
_cell_length_b 6.878
_cell_length_c 6.894
_cell_angle_alpha 77.17
_cell_angle_beta 90.00
_cell_angle_gamma 90.00
loop_
_atom_site_label
_atom_site_type_symbol
_atom_site_fract_x
_atom_site_fract_y
_atom_site_fract_z
_atom_site_occupancy
H1 H 0.402 0.484 0.182 1
H2 H 0.593 0.666 0.574 1
H3 H 0.672 0.170 0.689 1
H4 H 0.489 0.253 0.231 1
H5 H 0.902 0.516 0.818 1
H6 H 0.989 0.747 0.769 1
H7 H 0.512 0.746 0.769 1
H8 H 0.407 0.333 0.427 1
H9 H 0.763 0.104 0.482 1
H10 H 0.097 0.487 0.180 1
H11 H 0.907 0.667 0.573 1
H12 H 0.172 0.830 0.311 1
H13 H 0.093 0.334 0.426 1
H14 H 0.263 0.896 0.518 1
H15 H 0.597 0.513 0.820 1
H16 H 0.012 0.254 0.231 1
F1 F 0.250 0.390 0.820 1
F2 F 0.143 0.105 0.878 1
F3 F 0.857 0.894 0.123 1
F4 F 0.643 0.895 0.122 1
F5 F 0.750 0.610 0.180 1
F6 F 0.357 0.106 0.877 1
C1 C 0.733 0.061 0.639 1
C2 C 0.233 0.939 0.361 1
C3 C 0.750 0.801 0.062 1
C4 C 0.098 0.333 0.267 1
C5 C 0.250 0.199 0.938 1
C6 C 0.402 0.329 0.268 1
C7 C 0.902 0.671 0.732 1
C8 C 0.598 0.667 0.733 1
Si1 Si 0.249 0.198 0.221 1
Si2 Si 0.749 0.802 0.779 1
# - Raw total energy: -5.155 eV per atom
# - Crystal system: monoclinic
# - Calculated volume: 14.84 A^3/atom